No. 1
The following is a DFT calculation (GGA-PBE) of an optimized crystal structure of Ba2CuS2Cl2.

```
7
Lattice="-2.4335 2.4335 7.7175 2.4335 -2.4335 7.7175 2.4335 2.4335 -7.7175" Properties=species:S:1:pos:R:3 pbc="T T T"
Ba 0.0000 0.0000 5.4675
Ba 0.0000 0.0000 9.9675
Cu 0.0000 0.0000 0.0000
S 0.0000 0.0000 2.4053
S 0.0000 0.0000 13.0297
Cl 0.0000 2.4335 0.0000
Cl 2.4335 0.0000 0.0000
```

Properties
ΔE_f = -1.821 eV per atom
Offset from the most stable computed form = 196 meV per atom
Symmetry = I4/mmm, No. 139

No. 2
The following is a DFT calculation (GGA-PBE) of an optimized crystal structure of Er3Cu11Si4.

```
36
Lattice="5.8353 0.9055 -5.9809 -3.4415 -7.5379 1.4067 -6.1543 1.7384 -5.7414" Properties=species:S:1:pos:R:3 pbc="T T T"
Er -0.6131 0.5413 -8.8274
Er -3.1473 -5.4352 -1.4881
Er -2.9900 0.1724 -6.3913
Er -0.7704 -5.0664 -3.9243
Er -2.0149 -2.5291 -8.2545
Er -1.7455 -2.3648 -2.0611
Cu 1.8880 0.3263 -7.2068
Cu -5.6484 -5.2202 -3.1088
Cu -1.2666 -0.1633 -3.9736
Cu -7.6248 -4.6620 -4.9525
Cu -2.4939 -4.7307 -6.3420
Cu 3.8643 -0.2320 -5.3630
Cu 0.0275 -3.7487 -6.4463
Cu -4.4702 -4.1724 -8.1857
Cu -3.7880 -1.1453 -3.8692
Cu 0.7098 -0.7215 -2.1298
Cu -5.7643 -0.5870 -5.7130
Cu 2.0039 -4.3069 -4.6026
Cu -4.0215 -2.5610 -6.1131
Cu 0.2611 -2.3330 -4.2024
Cu -5.8018 -2.8372 -4.2885
Cu 2.0413 -2.0567 -6.0271
Cu -5.0715 -4.8606 -5.6840
Cu 1.3110 -0.0333 -4.6316
Cu 2.7133 -1.9005 -3.5461
Cu -6.4737 -2.9934 -6.7694
Cu -3.4561 -3.8458 -3.9543
Cu -0.3043 -1.0481 -6.3613
Si 1.1969 -3.3162 -2.2871
Si -1.7207 -3.7689 0.7033
Si -1.8802 -2.4470 -5.1578
Si 2.9177 0.4528 -2.9904
Si -4.7979 -2.8997 -2.1674
Si -0.1595 1.3220 -5.8611
Si -4.6157 1.3038 -4.3060
Si -1.5386 0.4346 -1.4353
```

Properties
ΔE_f = -0.316 eV per atom
Symmetry = P6_3/mmc, No. 194

No. 3
The following is a DFT calculation (GGA-PBE) of an optimized crystal structure of Na6Ta4Si9Sn4S3O48.

```
222
Lattice="-8.8572 -15.5096 0.6409 3.4499 3.4677 7.4690 -19.4959 11.1743 3.8678" Properties=species:S:1:pos:R:3 pbc="T T T"
Na -2.5367 4.9086 5.7804
Na -7.0973 -2.8419 5.9383
Na -13.2696 9.6566 5.7114
Na -17.7272 1.7819 5.9247
Na -11.0913 4.7867 9.7408
Na -6.5603 -9.5712 6.0229
Na -18.6085 -9.7990 2.6817
Na -10.8610 1.2753 9.7396
Na -19.4914 11.1421 3.9464
Na -20.4485 6.8219 11.5275
Na -17.8671 5.3511 5.9524
Na -22.3505 -2.3437 6.2672
Na -8.3189 -0.2736 3.8589
Na -12.6688 -7.9251 4.1308
Na -2.3110 1.4747 5.8526
Na -6.8927 -6.1242 5.9632
Na -12.2166 7.2672 7.7342
Na -16.6365 -0.5748 7.9431
Ta -6.9310 3.9582 1.3845
Ta -11.3745 -3.8091 1.7708
Ta -13.2560 12.9760 10.7635
Ta -17.6208 5.1729 10.9696
Ta -9.0999 10.5281 9.9241
Ta -7.1450 -6.2301 0.9723
Ta -20.9796 7.0350 6.6037
Ta -25.1691 -0.8416 6.8477
Ta -11.0998 1.2822 4.4915
Ta -15.7527 -6.3670 4.8105
Ta 0.3134 -0.0979 5.0639
Ta -13.7727 -2.1320 7.5701
Si -2.7995 3.9793 8.5362
Si -10.5165 -7.2290 1.4146
Si -9.9630 -7.9929 6.8517
Si -8.3006 -3.9493 3.4401
Si -14.8691 7.0995 5.1049
Si -19.4016 -0.6251 5.5324
Si -21.0313 -4.6490 8.8368
Si -16.5553 3.0236 8.5033
Si -14.3271 6.3155 10.5350
Si -14.4648 0.2584 5.0603
Si -18.9948 -7.4547 5.4189
Si -12.8937 3.6779 2.7134
Si -17.3888 -3.8995 3.0656
Si -16.5496 -4.2630 7.4407
Si -3.8264 -4.2977 5.3052
Si -8.1677 -12.0979 5.5407
Si -4.3823 -4.0962 0.8286
Si -2.2561 -0.7844 2.9045
Si -6.4934 -8.6221 3.2943
Si -18.3084 7.7013 8.7152
Si -22.7454 0.0147 9.1106
Si -16.7383 11.1650 6.3860
Si -20.4631 3.2360 11.1187
Si -7.6566 3.1261 8.9603
Si -11.9547 -4.6017 9.2812
Si -8.2813 3.3719 4.5489
Si -10.4223 -1.1801 6.9266
Sn -17.1117 -0.5499 2.9612
Sn 0.4991 4.9694 7.9331
Sn -15.3028 3.6467 5.3029
Sn -19.5287 -3.9954 5.7698
Sn -5.4704 -1.9681 3.2610
Sn -9.7778 -9.5745 3.8323
Sn -3.9141 -7.7521 5.4961
Sn -9.3465 5.5365 7.0391
Sn -5.4088 3.1732 6.4167
Sn -9.6172 -4.5390 6.6768
Sn -15.0078 8.7294 8.1503
Sn -19.4799 1.0644 8.6113
S -5.5647 -0.2599 6.5537
S -3.8959 3.7845 3.1325
S -18.7758 -1.4718 10.9058
S -12.1879 3.4874 7.0930
S -8.8723 -11.8319 1.2242
S -21.1760 3.5176 6.6187
S -16.0761 10.9556 10.8150
S -12.7447 -4.4054 4.8795
S -5.9637 6.6749 6.5732
O -6.8237 2.0234 1.3821
O -11.1497 -5.7371 1.7626
O -6.7689 -0.1466 7.4384
O -11.2400 -8.0350 7.8993
O -9.7520 -3.5496 2.7585
O -14.0764 -11.3620 3.1904
O -15.9673 8.1354 4.4110
O -20.4619 0.3898 4.7873
O -17.2920 4.1946 9.4185
O -21.7228 -3.4893 9.7936
O -19.3345 2.5617 3.5145
O -23.6737 -5.0839 3.8108
O -13.5529 4.9253 10.1183
O -18.1670 -2.7754 10.5896
O -13.5638 7.1171 4.1012
O -17.9548 -0.5708 4.7669
O -10.7003 10.5212 8.8483
O -15.1811 2.5246 9.1809
O -4.5377 -1.1284 7.1270
O -8.7425 -8.9129 7.4663
O -3.2345 2.7146 2.3596
O -7.5919 -5.0488 2.4469
O -1.3051 4.1274 7.8797
O -5.5092 -3.4985 8.4489
O -15.2148 1.6123 5.5673
O -19.6767 -6.0418 5.8256
O -14.2663 3.6408 3.5676
O -18.7449 -3.9458 3.9130
O -13.4787 3.9173 6.5464
O -17.8904 -3.6433 6.8112
O -5.0040 -3.3647 4.6763
O -9.4561 -11.2189 4.9807
O -5.1171 -2.8383 1.5284
O -9.5650 -10.7749 2.0163
O -3.7606 -0.9122 3.4509
O -8.0001 -8.7225 3.9198
O -1.6162 -2.2647 2.5293
O -5.9416 -10.0749 2.8516
O -2.4811 -4.3083 4.3145
O -6.9072 -12.0096 4.5139
O -2.9854 -4.5318 1.5709
O -7.5685 -12.2021 1.7695
O -11.7282 2.7865 3.4203
O -16.2604 -4.9349 3.7509
O -11.4955 2.4978 6.2511
O -15.8976 -5.4728 6.5132
O -12.9060 0.5936 4.6263
O -17.3951 -7.2416 4.9484
O -18.9295 9.1785 9.0808
O -23.4966 1.3932 9.5589
O -18.0443 11.1678 7.3741
O -22.4013 3.5408 7.4557
O -17.3306 11.3932 10.2060
O -21.8185 3.8200 10.4333
O -8.8326 4.0128 8.2846
O -13.0947 -3.6803 8.5789
O -8.8908 4.6523 5.3251
O -13.3587 -3.3349 5.6443
O -7.3432 6.5178 7.0303
O -11.9590 -1.4449 7.4009
O -5.3148 5.3888 6.1952
O -9.6888 -2.5311 6.3872
O -6.2370 3.1423 8.1762
O -10.5798 -4.6303 8.4375
O -6.8517 2.8420 5.1545
O -11.4557 -4.8772 5.4102
O -15.4827 10.3552 7.0193
O -20.0934 2.6982 7.2169
O -15.3839 9.8956 10.0707
O -19.7808 2.0033 10.3202
O -16.8101 7.8529 8.1448
O -21.2534 0.1750 8.5460
O -5.2306 7.3062 7.7254
O -9.5794 -0.5255 8.1914
O -8.2287 1.5958 9.1480
O -12.5745 -6.1345 9.4773
O -8.0069 3.9041 3.0015
O -12.5525 -3.8568 3.4704
O -17.1872 10.5671 4.9157
O -21.5838 3.0122 5.2986
O -15.2002 12.1996 10.8869
O -19.4875 4.5462 11.2490
O -18.4594 6.7637 10.0480
O -22.8560 -1.0179 10.3885
O -15.1326 -0.3692 3.6931
O -19.7144 -8.1241 4.1104
O -12.2446 5.1762 2.5125
O -16.5799 -2.5207 2.8531
O -12.2924 2.9109 8.4553
O -16.7924 -4.8488 8.9507
O -3.3086 -3.6819 6.7328
O -7.5438 -11.4424 6.9311
O -5.3722 -5.4003 0.7698
O -9.6985 -13.0771 1.1560
O -1.9907 0.1694 1.6013
O -6.3901 -7.6591 1.9748
O -17.1519 3.4915 4.4390
O -21.6088 -4.3202 4.6283
O -15.5781 5.6686 5.2882
O -20.1434 -2.0663 5.6164
O -16.4371 3.6899 7.0204
O -20.9241 -4.0547 7.3128
O -6.0867 -0.7707 5.2683
O -10.6143 -8.6723 5.4849
O -7.4246 -2.5677 3.5987
O -11.9656 -10.4731 3.8201
O -6.4068 -0.3412 2.4217
O -10.7336 -8.1906 2.7222
O -19.2316 7.0376 7.4926
O -23.5741 -0.7218 7.8689
O -20.6055 4.8883 6.4735
O -25.1182 -2.7903 6.8078
O -19.7127 7.0089 4.7444
O -24.2141 -0.8214 5.1579
O -10.6588 0.2003 2.9780
O -15.0484 -7.5091 3.3401
O -9.2659 2.0775 4.4967
O -13.6240 -5.6051 4.7500
O -10.3887 -0.0835 5.7147
O -14.6875 -7.9454 6.0413
O -1.3624 -0.1633 4.1407
O -5.7036 -7.9597 4.5536
O 0.1538 1.9034 5.1608
O -4.4334 -5.7917 5.4866
O -0.6241 -0.1132 6.7834
O -5.3141 -7.8220 7.3043
O -9.8950 6.5417 8.7251
O -14.2987 -1.0876 9.0603
O -11.3688 4.7507 7.2051
O -15.4933 -3.0250 7.4994
O -10.2103 7.0811 6.0786
O -14.4816 -0.8176 6.2948
O -3.5645 3.3671 7.1760
O -7.7515 -4.3748 7.5414
O -4.9093 1.0729 6.3530
O -9.3442 -6.5383 6.5869
O -4.0659 3.2900 4.5337
O -8.4882 -4.5952 4.9211
O -14.2949 7.7587 6.4769
O -18.9400 -0.0097 6.9859
O -13.0658 9.5064 8.1606
O -17.5608 1.7241 8.3797
O -14.1646 7.2965 9.2632
O -18.6065 -0.6302 9.7085
```

Properties
ΔE_f = -2.719 eV per atom
Symmetry = P1, No. 1